(1)
The following is a GGA+U calculation of an optimized crystal structure of Co5SbO8, from the Materials Project database.

total magnetization: 0.0 μB/cell
ΔE_f: -1.484 eV/atom
offset from the most stable computed form: 12 meV/atom
SG: P1

Unit cell a=6.023 b=6.003 c=10.712 alpha=74.05 beta=90.26 gamma=59.79
Atoms (fractional coordinates):
O1 0.846 0.270 0.124
O2 0.349 0.266 0.622
O3 0.620 0.722 0.875
O4 0.654 0.731 0.376
O5 0.383 0.268 0.121
O6 0.151 0.734 0.878
O7 0.116 0.733 0.379
O8 0.616 0.263 0.882
O9 0.869 0.723 0.149
O10 0.884 0.738 0.618
O11 0.385 0.732 0.118
O12 0.632 0.276 0.351
O13 0.091 0.281 0.850
O14 0.113 0.268 0.382
O15 0.408 0.720 0.649
O16 0.879 0.279 0.625
Co1 0.822 0.854 0.953
Co2 0.751 0.999 0.250
Co3 0.250 0.000 0.750
Co4 0.324 0.859 0.453
Co5 0.751 0.499 0.250
Co6 0.679 0.146 0.547
Co7 0.178 0.140 0.047
Co8 0.250 0.500 0.750
Co9 0.750 0.500 0.750
Co10 0.251 0.499 0.250
Sb1 0.001 0.503 0.500
Sb2 0.499 0.497 0.000


(2)
The following is a GGA+U calculation of an optimized crystal structure of Co5SbO8, from the Materials Project database.

ΔE_f: -1.496 eV/atom
offset from the most stable computed form: 0 meV/atom
SG: R-3m

Unit cell a=6.152 b=6.152 c=6.152 alpha=58.50 beta=58.50 gamma=58.50
Atoms (fractional coordinates):
Co1 0.000 0.000 0.500
Co2 0.366 0.366 0.366
Co3 0.000 0.500 0.000
Co4 0.500 0.000 0.000
Co5 0.634 0.634 0.634
O1 0.773 0.235 0.235
O2 0.765 0.765 0.227
O3 0.235 0.235 0.773
O4 0.765 0.227 0.765
O5 0.227 0.765 0.765
O6 0.235 0.773 0.235
O7 0.235 0.235 0.235
O8 0.765 0.765 0.765
Sb1 0.000 0.000 0.000


(3)
The following is a GGA+U calculation of an optimized crystal structure of Co2Sb2O7, from the Materials Project database.

total magnetization: 12.0 μB/cell
ΔE_f: -1.586 eV/atom
SG: Fd-3m

Unit cell a=7.190 b=7.190 c=7.190 alpha=60.00 beta=60.00 gamma=60.00
Atoms (fractional coordinates):
Co1 0.625 0.125 0.125
Co2 0.125 0.125 0.125
Co3 0.125 0.625 0.125
Co4 0.125 0.125 0.625
O1 0.294 0.294 0.706
O2 0.250 0.250 0.250
O3 0.544 0.544 0.956
O4 0.294 0.706 0.706
O5 0.544 0.956 0.544
O6 0.294 0.706 0.294
O7 0.956 0.956 0.544
O8 0.544 0.956 0.956
O9 0.956 0.544 0.544
O10 0.000 0.000 0.000
O11 0.706 0.706 0.294
O12 0.706 0.294 0.294
O13 0.956 0.544 0.956
O14 0.706 0.294 0.706
Sb1 0.625 0.125 0.625
Sb2 0.625 0.625 0.625
Sb3 0.625 0.625 0.125
Sb4 0.125 0.625 0.625


(4)
The following is a GGA+U calculation of an optimized crystal structure of Y4Co13Si2Sb2O28, from the Materials Project database.

total magnetization: 39.0 μB/cell
ΔE_f: -2.086 eV/atom
SG: C2/m

Unit cell a=12.203 b=12.203 c=9.561 alpha=87.87 beta=87.87 gamma=153.71
Atoms (fractional coordinates):
Sb1 0.141 0.859 0.000
Sb2 0.859 0.141 0.000
Co1 0.572 0.428 0.000
Co2 0.428 0.572 0.000
Co3 0.708 0.292 0.000
Co4 0.663 0.921 0.627
Co5 0.292 0.708 0.000
Co6 0.921 0.663 0.627
Co7 0.079 0.337 0.373
Co8 0.796 0.671 0.309
Co9 0.337 0.079 0.373
Co10 0.000 0.000 0.000
Co11 0.671 0.796 0.309
Co12 0.204 0.329 0.691
Co13 0.329 0.204 0.691
O1 0.410 0.123 0.120
O2 0.879 0.462 0.609
O3 0.404 0.990 0.893
O4 0.596 0.010 0.107
O5 0.878 0.725 0.104
O6 0.319 0.430 0.346
O7 0.969 0.715 0.405
O8 0.950 0.950 0.344
O9 0.715 0.969 0.405
O10 0.430 0.319 0.346
O11 0.462 0.879 0.609
O12 0.050 0.050 0.656
O13 0.570 0.681 0.654
O14 0.285 0.031 0.595
O15 0.990 0.404 0.893
O16 0.275 0.122 0.896
O17 0.704 0.704 0.890
O18 0.121 0.538 0.391
O19 0.296 0.296 0.110
O20 0.877 0.590 0.880
O21 0.538 0.121 0.391
O22 0.681 0.570 0.654
O23 0.122 0.275 0.896
O24 0.590 0.877 0.880
O25 0.725 0.878 0.104
O26 0.010 0.596 0.107
O27 0.123 0.410 0.120
O28 0.031 0.285 0.595
Si1 0.245 0.245 0.286
Si2 0.755 0.755 0.714
Y1 0.485 0.073 0.659
Y2 0.927 0.515 0.341
Y3 0.073 0.485 0.659
Y4 0.515 0.927 0.341